# NaNd8Se12 (PBE, relaxed)
data_NaNd8Se12
_chemical_formula_sum 'Na2 Nd16 Se24'
_cell_length_a 14.879
_cell_length_b 14.879
_cell_length_c 14.879
_cell_angle_alpha 145.01
_cell_angle_beta 145.01
_cell_angle_gamma 50.33
_space_group_name_H-M_alt 'P 1'
_space_group_IT_number 1
loop_
_space_group_symop_operation_xyz
'x,y,z'
loop_
_atom_site_label
_atom_site_type_symbol
_atom_site_fract_x
_atom_site_fract_y
_atom_site_fract_z
Se1 Se 0.858 0.257 0.748
Se2 Se 0.892 0.140 0.898
Se3 Se 0.242 0.993 0.102
Se4 Se 0.842 0.438 0.248
Se5 Se 0.188 0.092 0.748
Se6 Se 0.217 0.470 0.893
Se7 Se 0.074 0.827 0.607
Se8 Se 0.562 0.809 0.403
Se9 Se 0.406 0.158 0.597
Se10 Se 0.860 0.758 0.752
Se11 Se 0.530 0.423 0.747
Se12 Se 0.344 0.441 0.252
Se13 Se 0.533 0.926 0.753
Se14 Se 0.191 0.594 0.752
Se15 Se 0.508 0.110 0.252
Se16 Se 0.908 0.656 0.097
Se17 Se 0.007 0.108 0.248
Se18 Se 0.577 0.324 0.107
Se19 Se 0.173 0.780 0.247
Se20 Se 0.890 0.142 0.398
Se21 Se 0.220 0.467 0.393
Se22 Se 0.676 0.783 0.253
Se23 Se 0.743 0.492 0.602
Se24 Se 0.559 0.812 0.903
Nd1 Nd 0.169 0.294 0.382
Nd2 Nd 0.213 0.831 0.126
Nd3 Nd 0.706 0.087 0.874
Nd4 Nd 0.913 0.787 0.618
Nd5 Nd 0.875 0.505 0.130
Nd6 Nd 0.837 0.956 0.374
Nd7 Nd 0.832 0.832 0.000
Nd8 Nd 0.581 0.463 0.626
Nd9 Nd 0.255 0.125 0.630
Nd10 Nd 0.375 0.745 0.870
Nd11 Nd 0.918 0.418 0.500
Nd12 Nd 0.495 0.625 0.370
Nd13 Nd 0.168 0.168 0.000
Nd14 Nd 0.044 0.419 0.882
Nd15 Nd 0.537 0.163 0.118
Nd16 Nd 0.582 0.082 0.500
Na1 Na 0.250 0.750 0.500
Na2 Na 0.500 0.500 0.000
# Calculated density (Mg/m³): 6.55
# E (MP2020) (eV/atom): -5.9827
# SG: I-42d, No. 122
# Raw total energy (eV per atom): -5.713

***

# MgTi2Ga4O10 (PBE, relaxed)
data_MgTi2Ga4O10
_chemical_formula_sum 'Mg1 Ti2 Ga4 O10'
_cell_length_a 3.702
_cell_length_b 10.323
_cell_length_c 5.484
_cell_angle_alpha 90.00
_cell_angle_beta 70.28
_cell_angle_gamma 90.00
_space_group_name_H-M_alt 'P 1'
_space_group_IT_number 1
loop_
_space_group_symop_operation_xyz
'x,y,z'
loop_
_atom_site_label
_atom_site_type_symbol
_atom_site_fract_x
_atom_site_fract_y
_atom_site_fract_z
O1 O 0.297 0.750 0.405
O2 O 0.953 0.620 0.094
O3 O 0.658 0.887 0.684
O4 O 0.054 0.382 0.892
O5 O 0.953 0.880 0.094
O6 O 0.054 0.118 0.892
O7 O 0.658 0.613 0.684
O8 O 0.304 0.060 0.391
O9 O 0.304 0.440 0.391
O10 O 0.771 0.250 0.458
Ga1 Ga 0.139 0.545 0.722
Ga2 Ga 0.878 0.432 0.244
Ga3 Ga 0.878 0.068 0.244
Ga4 Ga 0.139 0.955 0.722
Ti1 Ti 0.191 0.250 0.618
Ti2 Ti 0.802 0.750 0.396
Mg1 Mg 0.503 0.750 0.995
# Calculated density (Mg/m³): 4.70
# E (MP2020) (eV/atom): -7.1735
# SG: Amm2, No. 38
# Raw total energy (eV per atom): -6.769

***

# Ti2MnFe (PBE, relaxed)
data_Ti2MnFe
_chemical_formula_sum 'Ti2 Mn1 Fe1'
_cell_length_a 4.199
_cell_length_b 4.199
_cell_length_c 4.199
_cell_angle_alpha 60.00
_cell_angle_beta 60.00
_cell_angle_gamma 60.00
_space_group_name_H-M_alt 'P 1'
_space_group_IT_number 1
loop_
_space_group_symop_operation_xyz
'x,y,z'
loop_
_atom_site_label
_atom_site_type_symbol
_atom_site_fract_x
_atom_site_fract_y
_atom_site_fract_z
Ti1 Ti 0.250 0.250 0.250
Ti2 Ti 0.750 0.750 0.750
Mn1 Mn 0.000 0.000 0.000
Fe1 Fe 0.500 0.500 0.500
# Calculated density (Mg/m³): 6.55
# SG: Fm-3m, No. 225
# Raw total energy (eV per atom): -8.694

***

# CeYMg6 (PBE, relaxed)
data_CeYMg6
_chemical_formula_sum 'Ce2 Y2 Mg12'
_cell_length_a 5.326
_cell_length_b 6.716
_cell_length_c 11.557
_cell_angle_alpha 90.00
_cell_angle_beta 90.00
_cell_angle_gamma 90.00
_space_group_name_H-M_alt 'P 1'
_space_group_IT_number 1
loop_
_space_group_symop_operation_xyz
'x,y,z'
loop_
_atom_site_label
_atom_site_type_symbol
_atom_site_fract_x
_atom_site_fract_y
_atom_site_fract_z
Y1 Y 0.500 0.000 0.837
Y2 Y 0.500 0.500 0.337
Mg1 Mg 0.000 0.000 0.163
Mg2 Mg 0.500 0.249 0.083
Mg3 Mg 0.500 0.749 0.583
Mg4 Mg 0.000 0.000 0.663
Mg5 Mg 0.500 0.751 0.083
Mg6 Mg 0.000 0.250 0.418
Mg7 Mg 0.000 0.250 0.918
Mg8 Mg 0.500 0.251 0.583
Mg9 Mg 0.000 0.750 0.918
Mg10 Mg 0.000 0.500 0.163
Mg11 Mg 0.000 0.750 0.418
Mg12 Mg 0.000 0.500 0.663
Ce1 Ce 0.500 0.000 0.336
Ce2 Ce 0.500 0.500 0.836
# Calculated density (Mg/m³): 3.01
# Raw total energy (eV per atom): -2.691

***

# Bi2O5 (PBE, relaxed)
data_Bi2O5
_chemical_formula_sum 'Bi4 O10'
_cell_length_a 5.950
_cell_length_b 5.950
_cell_length_c 10.192
_cell_angle_alpha 90.00
_cell_angle_beta 90.00
_cell_angle_gamma 138.03
_space_group_name_H-M_alt 'P 1'
_space_group_IT_number 1
loop_
_space_group_symop_operation_xyz
'x,y,z'
loop_
_atom_site_label
_atom_site_type_symbol
_atom_site_fract_x
_atom_site_fract_y
_atom_site_fract_z
O1 O 0.286 0.714 0.250
O2 O 0.814 0.186 0.464
O3 O 0.186 0.814 0.536
O4 O 0.546 0.454 0.125
O5 O 0.186 0.814 0.964
O6 O 0.454 0.546 0.875
O7 O 0.546 0.454 0.375
O8 O 0.454 0.546 0.625
O9 O 0.714 0.286 0.750
O10 O 0.814 0.186 0.036
Bi1 Bi 0.364 0.636 0.438
Bi2 Bi 0.364 0.636 0.062
Bi3 Bi 0.636 0.364 0.938
Bi4 Bi 0.636 0.364 0.562
# Calculated density (Mg/m³): 6.85
# E (MP2020) (eV/atom): -5.7510
# SG: Cmcm, No. 63
# Raw total energy (eV per atom): -5.260

***

# Ho4HfAl15 (PBE, relaxed)
data_Ho4HfAl15
_chemical_formula_sum 'Ho4 Hf1 Al15'
_cell_length_a 4.217
_cell_length_b 4.217
_cell_length_c 21.098
_cell_angle_alpha 90.00
_cell_angle_beta 90.00
_cell_angle_gamma 90.00
_space_group_name_H-M_alt 'P 1'
_space_group_IT_number 1
loop_
_space_group_symop_operation_xyz
'x,y,z'
loop_
_atom_site_label
_atom_site_type_symbol
_atom_site_fract_x
_atom_site_fract_y
_atom_site_fract_z
Al1 Al 0.000 0.500 0.500
Al2 Al 0.500 0.000 0.500
Al3 Al 0.500 0.000 0.905
Al4 Al 0.500 0.500 0.198
Al5 Al 0.500 0.500 0.601
Al6 Al 0.500 0.000 0.702
Al7 Al 0.000 0.500 0.905
Al8 Al 0.500 0.000 0.095
Al9 Al 0.000 0.500 0.702
Al10 Al 0.000 0.500 0.298
Al11 Al 0.500 0.500 0.399
Al12 Al 0.500 0.500 0.000
Al13 Al 0.500 0.000 0.298
Al14 Al 0.500 0.500 0.802
Al15 Al 0.000 0.500 0.095
Hf1 Hf 0.000 0.000 0.000
Ho1 Ho 0.000 0.000 0.803
Ho2 Ho 0.000 0.000 0.601
Ho3 Ho 0.000 0.000 0.197
Ho4 Ho 0.000 0.000 0.399
# Calculated density (Mg/m³): 5.50
# SG: P4/mmm, No. 123
# Raw total energy (eV per atom): -4.629

***

# Na6B4Sb2PO16 (PBE, relaxed)
data_Na6B4Sb2PO16
_chemical_formula_sum 'Na12 B8 Sb4 P2 O32'
_cell_length_a 10.053
_cell_length_b 10.053
_cell_length_c 10.053
_cell_angle_alpha 60.00
_cell_angle_beta 60.00
_cell_angle_gamma 60.00
_space_group_name_H-M_alt 'P 1'
_space_group_IT_number 1
loop_
_space_group_symop_operation_xyz
'x,y,z'
loop_
_atom_site_label
_atom_site_type_symbol
_atom_site_fract_x
_atom_site_fract_y
_atom_site_fract_z
P1 P 0.750 0.750 0.750
P2 P 0.500 0.500 0.500
O1 O 0.940 0.687 0.687
O2 O 0.687 0.687 0.687
O3 O 0.760 0.274 0.933
O4 O 0.033 0.274 0.760
O5 O 0.217 0.490 0.317
O6 O 0.033 0.760 0.933
O7 O 0.563 0.310 0.563
O8 O 0.760 0.933 0.033
O9 O 0.317 0.976 0.217
O10 O 0.976 0.490 0.217
O11 O 0.274 0.933 0.760
O12 O 0.933 0.033 0.760
O13 O 0.976 0.217 0.317
O14 O 0.976 0.317 0.490
O15 O 0.310 0.563 0.563
O16 O 0.933 0.274 0.033
O17 O 0.563 0.563 0.310
O18 O 0.760 0.033 0.274
O19 O 0.490 0.217 0.976
O20 O 0.317 0.217 0.490
O21 O 0.274 0.760 0.033
O22 O 0.274 0.033 0.933
O23 O 0.033 0.933 0.274
O24 O 0.687 0.687 0.940
O25 O 0.490 0.317 0.217
O26 O 0.217 0.317 0.976
O27 O 0.933 0.760 0.274
O28 O 0.490 0.976 0.317
O29 O 0.317 0.490 0.976
O30 O 0.563 0.563 0.563
O31 O 0.687 0.940 0.687
O32 O 0.217 0.976 0.490
Na1 Na 0.299 0.299 0.701
Na2 Na 0.299 0.701 0.701
Na3 Na 0.951 0.549 0.951
Na4 Na 0.701 0.299 0.299
Na5 Na 0.549 0.951 0.549
Na6 Na 0.299 0.701 0.299
Na7 Na 0.701 0.299 0.701
Na8 Na 0.701 0.701 0.299
Na9 Na 0.549 0.549 0.951
Na10 Na 0.951 0.549 0.549
Na11 Na 0.549 0.951 0.951
Na12 Na 0.951 0.951 0.549
B1 B 0.910 0.910 0.271
B2 B 0.340 0.340 0.979
B3 B 0.910 0.910 0.910
B4 B 0.910 0.271 0.910
B5 B 0.271 0.910 0.910
B6 B 0.979 0.340 0.340
B7 B 0.340 0.340 0.340
B8 B 0.340 0.979 0.340
Sb1 Sb 0.125 0.625 0.125
Sb2 Sb 0.125 0.125 0.125
Sb3 Sb 0.625 0.125 0.125
Sb4 Sb 0.125 0.125 0.625
# Calculated density (Mg/m³): 3.29
# E (MP2020) (eV/atom): -6.7957
# SG: Fd-3, No. 203
# Raw total energy (eV per atom): -6.417

***

# Na3Ti3ZnP5SO24 (PBE, relaxed)
data_Na3Ti3ZnP5SO24
_chemical_formula_sum 'Na9 Ti9 Zn3 P15 S3 O72'
_cell_length_a 8.691
_cell_length_b 8.685
_cell_length_c 22.157
_cell_angle_alpha 89.94
_cell_angle_beta 90.12
_cell_angle_gamma 119.94
_space_group_name_H-M_alt 'P 1'
_space_group_IT_number 1
loop_
_space_group_symop_operation_xyz
'x,y,z'
loop_
_atom_site_label
_atom_site_type_symbol
_atom_site_fract_x
_atom_site_fract_y
_atom_site_fract_z
O1 O 0.149 0.656 0.073
O2 O 0.482 0.117 0.636
O3 O 0.163 0.686 0.472
O4 O 0.694 0.161 0.747
O5 O 0.468 0.302 0.747
O6 O 0.506 0.853 0.071
O7 O 0.985 0.812 0.807
O8 O 0.837 0.532 0.028
O9 O 0.506 0.363 0.423
O10 O 0.210 0.021 0.310
O11 O 0.628 0.515 0.641
O12 O 0.348 0.859 0.575
O13 O 0.798 0.822 0.196
O14 O 0.346 0.494 0.072
O15 O 0.530 0.698 0.254
O16 O 0.360 0.862 0.862
O17 O 0.526 0.841 0.473
O18 O 0.465 0.298 0.029
O19 O 0.176 0.196 0.414
O20 O 0.022 0.200 0.196
O21 O 0.617 0.107 0.138
O22 O 0.504 0.638 0.860
O23 O 0.836 0.309 0.530
O24 O 0.195 0.024 0.588
O25 O 0.479 0.160 0.245
O26 O 0.638 0.498 0.924
O27 O 0.174 0.978 0.195
O28 O 0.171 0.469 0.253
O29 O 0.979 0.190 0.305
O30 O 0.861 0.491 0.423
O31 O 0.889 0.366 0.644
O32 O 0.829 0.020 0.806
O33 O 0.308 0.846 0.975
O34 O 0.457 0.148 0.527
O35 O 0.798 0.969 0.693
O36 O 0.508 0.656 0.573
O37 O 0.169 0.976 0.910
O38 O 0.859 0.361 0.923
O39 O 0.500 0.868 0.361
O40 O 0.147 0.497 0.574
O41 O 0.836 0.023 0.091
O42 O 0.163 0.472 0.970
O43 O 0.133 0.637 0.360
O44 O 0.191 0.174 0.808
O45 O 0.698 0.163 0.027
O46 O 0.693 0.530 0.528
O47 O 0.502 0.142 0.923
O48 O 0.127 0.489 0.857
O49 O 0.843 0.530 0.749
O50 O 0.807 0.832 0.910
O51 O 0.303 0.823 0.256
O52 O 0.838 0.810 0.589
O53 O 0.484 0.375 0.141
O54 O 0.363 0.497 0.360
O55 O 0.026 0.829 0.694
O56 O 0.166 0.198 0.695
O57 O 0.686 0.533 0.244
O58 O 0.810 0.792 0.305
O59 O 0.979 0.812 0.090
O60 O 0.631 0.139 0.425
O61 O 0.804 0.975 0.413
O62 O 0.174 0.700 0.756
O63 O 0.026 0.827 0.414
O64 O 0.526 0.825 0.757
O65 O 0.318 0.475 0.473
O66 O 0.977 0.165 0.589
O67 O 0.851 0.320 0.244
O68 O 0.532 0.693 0.972
O69 O 0.024 0.193 0.911
O70 O 0.884 0.512 0.141
O71 O 0.190 0.164 0.090
O72 O 0.297 0.471 0.757
S1 S 0.708 0.709 0.251
S2 S 0.374 0.041 0.583
S3 S 0.001 0.292 0.251
P1 P 0.668 0.625 0.584
P2 P 0.043 0.378 0.915
P3 P 0.288 0.286 0.751
P4 P 0.335 0.957 0.917
P5 P 0.960 0.334 0.586
P6 P 0.956 0.620 0.084
P7 P 0.709 0.995 0.751
P8 P 0.378 0.337 0.084
P9 P 0.623 0.956 0.418
P10 P 0.338 0.381 0.416
P11 P 0.003 0.716 0.751
P12 P 0.669 0.041 0.083
P13 P 0.622 0.665 0.916
P14 P 0.044 0.663 0.417
P15 P 0.295 0.002 0.253
Na1 Na 0.671 0.338 0.327
Na2 Na 0.327 0.036 0.412
Na3 Na 0.988 0.001 0.998
Na4 Na 0.993 0.368 0.746
Na5 Na 0.345 0.674 0.665
Na6 Na 0.986 0.000 0.497
Na7 Na 0.653 0.333 0.831
Na8 Na 0.313 0.974 0.085
Na9 Na 0.334 0.655 0.167
Zn1 Zn 0.661 0.328 0.181
Zn2 Zn 0.664 0.341 0.686
Zn3 Zn 0.998 0.001 0.354
Ti1 Ti 0.681 0.345 0.480
Ti2 Ti 0.670 0.335 0.980
Ti3 Ti 0.335 0.660 0.520
Ti4 Ti 0.992 0.997 0.647
Ti5 Ti 0.338 0.671 0.813
Ti6 Ti 0.332 0.672 0.314
Ti7 Ti 0.002 0.000 0.855
Ti8 Ti 0.334 0.662 0.018
Ti9 Ti 0.002 0.998 0.147
# Calculated density (Mg/m³): 2.92
# E (MP2020) (eV/atom): -7.6011
# SG: P1, No. 1
# Raw total energy (eV per atom): -7.155

***

# Na14Cu2O9 (PBE, relaxed)
data_Na14Cu2O9
_chemical_formula_sum 'Na14 Cu2 O9'
_cell_length_a 6.658
_cell_length_b 6.658
_cell_length_c 9.290
_cell_angle_alpha 90.00
_cell_angle_beta 90.00
_cell_angle_gamma 120.00
_space_group_name_H-M_alt 'P 1'
_space_group_IT_number 1
loop_
_space_group_symop_operation_xyz
'x,y,z'
loop_
_atom_site_label
_atom_site_type_symbol
_atom_site_fract_x
_atom_site_fract_y
_atom_site_fract_z
O1 O 0.000 0.000 0.000
O2 O 0.305 0.948 0.336
O3 O 0.052 0.357 0.336
O4 O 0.357 0.305 0.664
O5 O 0.667 0.333 0.956
O6 O 0.333 0.667 0.044
O7 O 0.948 0.643 0.664
O8 O 0.695 0.052 0.664
O9 O 0.643 0.695 0.336
Cu1 Cu 0.333 0.667 0.259
Cu2 Cu 0.667 0.333 0.741
Na1 Na 0.059 0.376 0.595
Na2 Na 0.324 0.359 0.907
Na3 Na 0.966 0.324 0.093
Na4 Na 0.317 0.941 0.595
Na5 Na 0.376 0.317 0.405
Na6 Na 0.000 0.000 0.746
Na7 Na 0.359 0.034 0.093
Na8 Na 0.683 0.059 0.405
Na9 Na 0.941 0.624 0.405
Na10 Na 0.676 0.641 0.093
Na11 Na 0.641 0.966 0.907
Na12 Na 0.000 0.000 0.254
Na13 Na 0.034 0.676 0.907
Na14 Na 0.624 0.683 0.595
# Calculated density (Mg/m³): 2.76
# E (MP2020) (eV/atom): -4.1974
# SG: P-3, No. 147
# Raw total energy (eV per atom): -3.950

***

# RbCa2Nb3O10 (PBE, relaxed)
data_RbCa2Nb3O10
_chemical_formula_sum 'Rb1 Ca2 Nb3 O10'
_cell_length_a 3.966
_cell_length_b 3.966
_cell_length_c 15.283
_cell_angle_alpha 90.00
_cell_angle_beta 90.00
_cell_angle_gamma 90.00
_space_group_name_H-M_alt 'P 1'
_space_group_IT_number 1
loop_
_space_group_symop_operation_xyz
'x,y,z'
loop_
_atom_site_label
_atom_site_type_symbol
_atom_site_fract_x
_atom_site_fract_y
_atom_site_fract_z
O1 O 0.000 0.000 0.400
O2 O 0.000 0.500 0.000
O3 O 0.000 0.000 0.600
O4 O 0.500 0.000 0.000
O5 O 0.000 0.000 0.130
O6 O 0.000 0.500 0.254
O7 O 0.500 0.000 0.746
O8 O 0.000 0.500 0.746
O9 O 0.500 0.000 0.254
O10 O 0.000 0.000 0.870
Nb1 Nb 0.000 0.000 0.000
Nb2 Nb 0.000 0.000 0.718
Nb3 Nb 0.000 0.000 0.282
Rb1 Rb 0.500 0.500 0.500
Ca1 Ca 0.500 0.500 0.850
Ca2 Ca 0.500 0.500 0.150
# Calculated density (Mg/m³): 4.17
# E (MP2020) (eV/atom): -8.4051
# SG: P4/mmm, No. 123
# Raw total energy (eV per atom): -7.976

***

# HfCrAgS4 (PBE, relaxed)
data_HfCrAgS4
_chemical_formula_sum 'Hf2 Cr2 Ag2 S8'
_cell_length_a 14.178
_cell_length_b 3.602
_cell_length_c 6.099
_cell_angle_alpha 90.00
_cell_angle_beta 114.62
_cell_angle_gamma 90.00
_space_group_name_H-M_alt 'P 1'
_space_group_IT_number 1
loop_
_space_group_symop_operation_xyz
'x,y,z'
loop_
_atom_site_label
_atom_site_type_symbol
_atom_site_fract_x
_atom_site_fract_y
_atom_site_fract_z
S1 S 0.143 0.000 0.468
S2 S 0.366 0.000 0.034
S3 S 0.643 0.500 0.468
S4 S 0.851 0.000 0.493
S5 S 0.866 0.500 0.034
S6 S 0.138 0.500 0.986
S7 S 0.351 0.500 0.493
S8 S 0.638 0.000 0.986
Ag1 Ag 0.502 0.000 0.519
Ag2 Ag 0.002 0.500 0.519
Hf1 Hf 0.253 0.500 0.767
Hf2 Hf 0.753 0.000 0.767
Cr1 Cr 0.746 0.500 0.233
Cr2 Cr 0.246 0.000 0.233
# Calculated density (Mg/m³): 5.47
# E (MP2020) (eV/atom): -6.7843
# Raw total energy (eV per atom): -6.497

***

# LaTi2O6 (PBE, relaxed)
data_LaTi2O6
_chemical_formula_sum 'La1 Ti2 O6'
_cell_length_a 3.840
_cell_length_b 3.840
_cell_length_c 8.054
_cell_angle_alpha 90.00
_cell_angle_beta 90.00
_cell_angle_gamma 90.00
_space_group_name_H-M_alt 'P 1'
_space_group_IT_number 1
loop_
_space_group_symop_operation_xyz
'x,y,z'
loop_
_atom_site_label
_atom_site_type_symbol
_atom_site_fract_x
_atom_site_fract_y
_atom_site_fract_z
La1 La 0.000 0.000 0.500
O1 O 0.500 0.500 0.000
O2 O 0.500 0.500 0.500
O3 O 0.500 0.000 0.276
O4 O 0.500 0.000 0.724
O5 O 0.000 0.500 0.724
O6 O 0.000 0.500 0.276
Ti1 Ti 0.500 0.500 0.773
Ti2 Ti 0.500 0.500 0.227
# Calculated density (Mg/m³): 4.62
# E (MP2020) (eV/atom): -9.0028
# SG: P4/mmm, No. 123
# Raw total energy (eV per atom): -8.545

***

| no. | energy of formation (meV per atom) |
| --- | --- |
| 1 | -2105.6 |
| 2 | -2527.4 |
| 3 | -338.4 |
| 4 | 59.4 |
| 5 | -1105.3 |
| 6 | -405.7 |
| 7 | -2399.4 |
| 8 | -2766.8 |
| 9 | -1347.6 |
| 10 | -3106.6 |
| 11 | -1214.5 |
| 12 | -3401.1 |